First-principles (GGA-PBE) data for CaOsO3 after structural relaxation, as listed in the Materials Project database.

a b c (Å): 5.639 7.760 5.389
angles (deg): 90.00 90.00 90.00
Sites, in units of the cell vectors:
Ca1 0.061 0.250 0.016
Ca2 0.439 0.750 0.516
Ca3 0.561 0.250 0.484
Ca4 0.939 0.750 0.984
Os1 0.000 0.000 0.500
Os2 0.000 0.500 0.500
Os3 0.500 0.000 0.000
Os4 0.500 0.500 0.000
O1 0.032 0.750 0.397
O2 0.199 0.551 0.806
O3 0.199 0.949 0.806
O4 0.301 0.051 0.306
O5 0.301 0.449 0.306
O6 0.468 0.250 0.897
O7 0.532 0.750 0.103
O8 0.699 0.551 0.694
O9 0.699 0.949 0.694
O10 0.801 0.051 0.194
O11 0.801 0.449 0.194
O12 0.968 0.250 0.603

Values from the calculation:
Spin magnetization: 0.60 μB/f.u.
Energy: -147.0 eV per cell
ΔH_f (0 K): -2.1459 eV per atom